# 1
A relaxed CeCu2Si2 crystal. Source: Materials Project, functional r2SCAN.

Properties
- energy relative to the elements (eV per atom) = -0.593
- volume (Å³/f.u.) = 81
- uncorrected energy (hartree per atom) = -0.5369
- magnetization (μB/atom) = 0.126

```
5
Lattice="-2.0357 2.0357 4.9124 2.0357 -2.0357 4.9124 2.0357 2.0357 -4.9124" Properties=species:S:1:pos:R:3 pbc="T T T"
Ce 0.0000 0.0000 0.0000
Cu 2.0357 0.0000 2.4562
Cu 0.0000 2.0357 2.4562
Si 0.0000 0.0000 3.7186
Si 0.0000 0.0000 6.1062
```

# 2
A relaxed Rb2SnF6 crystal. Source: Materials Project, functional r2SCAN.

Properties
- energy relative to the elements (eV per atom) = -2.927
- volume (Å³/f.u.) = 165
- uncorrected energy (hartree per atom) = -0.3990
- magnetization (μB/atom) = 0.000

```
9
Lattice="0.0000 4.3530 4.3530 4.3530 0.0000 4.3530 4.3530 4.3530 0.0000" Properties=species:S:1:pos:R:3 pbc="T T T"
Rb 2.1765 2.1765 2.1765
Rb 6.5295 6.5295 6.5295
Sn 0.0000 0.0000 0.0000
F 4.3530 4.3530 1.9775
F 4.3530 1.9775 4.3530
F 6.7286 4.3530 4.3530
F 1.9775 4.3530 4.3530
F 4.3530 6.7286 4.3530
F 4.3530 4.3530 6.7286
```

# 3
A relaxed SiO2 crystal. Source: Materials Project, functional r2SCAN.

Properties
- energy relative to the elements (eV per atom) = -3.027
- volume (Å³/f.u.) = 38
- uncorrected energy (hartree per atom) = -0.3650
- magnetization (μB/atom) = 0.000

```
48
Lattice="8.8267 0.0000 0.0000 0.0000 7.8796 0.0000 -0.0466 0.0000 8.8257" Properties=species:S:1:pos:R:3 pbc="T T T"
Si 0.8341 1.1260 0.7935
Si 0.8109 2.8138 5.2063
Si 1.3535 4.7651 7.4304
Si 1.3768 7.0543 3.0175
Si 2.9825 4.9331 1.2847
Si 2.9593 6.8863 5.6976
Si 3.4539 1.0261 7.9867
Si 3.4772 2.9137 3.5739
Si 5.3029 4.9659 5.2518
Si 5.3262 6.8535 0.8390
Si 5.8208 0.9933 3.1281
Si 5.7976 2.9465 7.5409
Si 7.4033 0.8253 5.8081
Si 7.4266 3.1145 1.3953
Si 7.9692 5.0658 3.6194
Si 7.9460 6.7536 8.0322
O 0.0000 0.0000 0.0000
O -0.0233 3.9398 4.4128
O -0.0204 1.4338 5.2835
O 0.0029 2.5060 0.8707
O 1.1166 0.5953 2.2977
O 1.0933 3.3446 6.7106
O 1.9860 5.7769 6.3439
O 2.0093 6.0425 1.9310
O 2.2154 1.4135 0.0346
O 2.1921 2.5264 4.4474
O 2.3807 4.5720 8.6480
O 2.4039 7.2475 4.2352
O 2.9893 0.3368 6.6030
O 3.0125 3.6030 2.1901
O 4.3205 1.5816 3.2399
O 4.2973 2.3582 7.6528
O 4.4133 0.0000 0.0000
O 4.3900 3.9398 4.4128
O 4.4828 5.5214 1.1729
O 4.4596 6.2980 5.5857
O 5.7676 4.2766 6.6356
O 5.7908 7.5428 2.2227
O 6.3762 0.6322 4.5905
O 6.3994 3.3077 0.1776
O 6.5880 5.3533 4.3782
O 6.5647 6.4662 8.7911
O 6.7708 1.8371 6.8946
O 6.7941 2.1027 2.4818
O 7.6868 4.5351 2.1151
O 7.6635 7.2844 6.5279
O 8.7772 5.3736 7.9550
O 8.8005 6.4458 3.5421
```